[1]
# La2SiO5 (PBE, optimized geometry)
data_La2SiO5
_chemical_formula_sum 'La16 Si8 O40'
_cell_length_a 15.019
_cell_length_b 7.145
_cell_length_c 11.145
_cell_angle_alpha 90.00
_cell_angle_beta 121.82
_cell_angle_gamma 90.00
_space_group_name_H-M_alt 'C 1 2/c 1'
_space_group_IT_number 15
_space_group_name_Hall '-C 2yc'
loop_
_atom_site_label
_atom_site_type_symbol
_atom_site_fract_x
_atom_site_fract_y
_atom_site_fract_z
La1 La 0.037 0.248 0.465
La2 La 0.146 0.117 0.835
Si1 Si 0.180 0.413 0.307
O1 O 0.015 0.090 0.894
O2 O 0.096 0.499 0.148
O3 O 0.119 0.223 0.317
O4 O 0.197 0.437 0.930
O5 O 0.207 0.142 0.672
# - Crystal system: monoclinic
# - Relative energy among the computed polymorphs: 8.2 meV/atom

=====

[2]
# La2SiO5 (PBE, optimized geometry)
data_La2SiO5
_chemical_formula_sum 'La8 Si4 O20'
_cell_length_a 9.356
_cell_length_b 7.726
_cell_length_c 7.015
_cell_angle_alpha 90.00
_cell_angle_beta 109.04
_cell_angle_gamma 90.00
_space_group_name_H-M_alt 'P 1 21/c 1'
_space_group_IT_number 14
_space_group_name_Hall '-P 2ybc'
loop_
_atom_site_label
_atom_site_type_symbol
_atom_site_fract_x
_atom_site_fract_y
_atom_site_fract_z
La1 La 0.009 0.126 0.231
La2 La 0.389 0.160 0.095
Si1 Si 0.300 0.572 0.043
O1 O 0.110 0.126 0.951
O2 O 0.122 0.631 0.996
O3 O 0.288 0.077 0.367
O4 O 0.369 0.038 0.756
O5 O 0.413 0.733 0.050
# - Crystal system: monoclinic
# - Relative energy among the computed polymorphs: 0.0 meV/atom

=====

[3]
# La2Si3O9 (PBE, optimized geometry)
data_La2Si3O9
_chemical_formula_sum 'La4 Si6 O18'
_cell_length_a 5.564
_cell_length_b 7.600
_cell_length_c 8.683
_cell_angle_alpha 108.21
_cell_angle_beta 108.21
_cell_angle_gamma 91.73
_space_group_name_H-M_alt 'P -1'
_space_group_IT_number 2
_space_group_name_Hall '-P 1'
loop_
_atom_site_label
_atom_site_type_symbol
_atom_site_fract_x
_atom_site_fract_y
_atom_site_fract_z
La1 La 0.132 0.204 0.218
La2 La 0.193 0.817 0.416
Si1 Si 0.237 0.513 0.002
Si2 Si 0.340 0.481 0.668
Si3 Si 0.430 0.077 0.860
O1 O 0.013 0.666 0.044
O2 O 0.132 0.016 0.710
O3 O 0.149 0.510 0.786
O4 O 0.204 0.287 0.515
O5 O 0.299 0.994 0.001
O6 O 0.361 0.530 0.222
O7 O 0.377 0.662 0.615
O8 O 0.426 0.969 0.294
O9 O 0.471 0.323 0.952
# - Magnetization: 0.000 μB per formula unit
# - Crystal system: triclinic
# - Relative energy among the computed polymorphs: 70.3 meV/atom

=====

[4]
# La2Ti2SiO9 (PBE, optimized geometry)
data_La2Ti2SiO9
_chemical_formula_sum 'La8 Ti8 Si4 O36'
_cell_length_a 17.108
_cell_length_b 5.790
_cell_length_c 7.738
_cell_angle_alpha 90.00
_cell_angle_beta 111.23
_cell_angle_gamma 90.00
_space_group_name_H-M_alt 'C 1 2/m 1'
_space_group_IT_number 12
_space_group_name_Hall '-C 2y'
loop_
_atom_site_label
_atom_site_type_symbol
_atom_site_fract_x
_atom_site_fract_y
_atom_site_fract_z
La1 La 0.106 0.000 0.194
La2 La 0.212 0.000 0.807
Ti1 Ti 0.000 0.241 0.500
Ti2 Ti 0.081 0.500 0.947
Si1 Si 0.162 0.500 0.480
O1 O 0.000 0.277 0.000
O2 O 0.024 0.000 0.678
O3 O 0.028 0.500 0.687
O4 O 0.117 0.257 0.513
O5 O 0.155 0.500 0.265
O6 O 0.161 0.260 0.983
O7 O 0.244 0.000 0.366
# - Magnetization: 0.000 μB per formula unit
# - Crystal system: monoclinic

=====

[5]
# La4Ti5Si4O22 (PBE, optimized geometry)
data_La4Ti5Si4O22
_chemical_formula_sum 'La8 Ti10 Si8 O44'
_cell_length_a 13.763
_cell_length_b 5.708
_cell_length_c 11.212
_cell_angle_alpha 90.00
_cell_angle_beta 100.60
_cell_angle_gamma 90.00
_space_group_name_H-M_alt 'C 1 2/m 1'
_space_group_IT_number 12
_space_group_name_Hall '-C 2y'
loop_
_atom_site_label
_atom_site_type_symbol
_atom_site_fract_x
_atom_site_fract_y
_atom_site_fract_z
La1 La 0.069 0.000 0.248
La2 La 0.142 0.500 0.758
Ti1 Ti 0.000 0.000 0.500
Ti2 Ti 0.000 0.500 0.000
Ti3 Ti 0.000 0.500 0.500
Ti4 Ti 0.250 0.250 0.500
Si1 Si 0.139 0.000 0.956
Si2 Si 0.204 0.500 0.230
O1 O 0.021 0.249 0.633
O2 O 0.070 0.234 0.913
O3 O 0.092 0.500 0.157
O4 O 0.144 0.000 0.478
O5 O 0.150 0.500 0.518
O6 O 0.189 0.000 0.097
O7 O 0.216 0.000 0.861
O8 O 0.224 0.264 0.314
# - Magnetization: 2.050 μB per formula unit
# - Crystal system: monoclinic

=====

[6]
# LaSmO3 (PBE, optimized geometry)
data_LaSmO3
_chemical_formula_sum 'La4 Sm4 O12'
_cell_length_a 6.215
_cell_length_b 6.030
_cell_length_c 8.732
_cell_angle_alpha 90.00
_cell_angle_beta 90.00
_cell_angle_gamma 90.00
_space_group_name_H-M_alt 'P n a 21'
_space_group_IT_number 33
_space_group_name_Hall 'P 2c -2n'
loop_
_atom_site_label
_atom_site_type_symbol
_atom_site_fract_x
_atom_site_fract_y
_atom_site_fract_z
La1 La 0.042 0.008 0.000
Sm1 Sm 0.006 0.500 0.743
O1 O 0.076 0.363 0.490
O2 O 0.162 0.833 0.300
O3 O 0.202 0.808 0.660
# - Magnetization: 0.000 μB per formula unit
# - Crystal system: orthorhombic

=====

[7]
# LaSm3O6 (PBE, optimized geometry)
data_LaSm3O6
_chemical_formula_sum 'La6 Sm18 O36'
_cell_length_a 14.522
_cell_length_b 3.674
_cell_length_c 18.058
_cell_angle_alpha 90.00
_cell_angle_beta 100.57
_cell_angle_gamma 90.00
_space_group_name_H-M_alt 'C 1 m 1'
_space_group_IT_number 8
_space_group_name_Hall 'C -2y'
loop_
_atom_site_label
_atom_site_type_symbol
_atom_site_fract_x
_atom_site_fract_y
_atom_site_fract_z
La1 La 0.000 0.000 0.000
La2 La 0.001 0.000 0.499
La3 La 0.122 0.500 0.860
Sm1 Sm 0.121 0.500 0.360
Sm2 Sm 0.177 0.500 0.186
Sm3 Sm 0.178 0.500 0.685
Sm4 Sm 0.277 0.000 0.524
Sm5 Sm 0.278 0.000 0.025
Sm6 Sm 0.343 0.000 0.335
Sm7 Sm 0.344 0.000 0.835
Sm8 Sm 0.444 0.500 0.675
Sm9 Sm 0.445 0.500 0.176
O1 O 0.012 0.500 0.740
O2 O 0.014 0.500 0.242
O3 O 0.110 0.000 0.120
O4 O 0.110 0.000 0.619
O5 O 0.137 0.000 0.442
O6 O 0.137 0.000 0.945
O7 O 0.183 0.000 0.288
O8 O 0.185 0.000 0.785
O9 O 0.282 0.500 0.102
O10 O 0.282 0.500 0.601
O11 O 0.310 0.500 0.430
O12 O 0.311 0.500 0.930
O13 O 0.339 0.500 0.258
O14 O 0.339 0.500 0.758
O15 O 0.437 0.000 0.075
O16 O 0.437 0.000 0.573
O17 O 0.484 0.000 0.915
O18 O 0.486 0.000 0.413
# - Magnetization: 0.000 μB per formula unit
# - Crystal system: monoclinic

=====

[8]
# LaSnO3 (PBE, optimized geometry)
data_LaSnO3
_chemical_formula_sum 'La1 Sn1 O3'
_cell_length_a 4.213
_cell_length_b 4.213
_cell_length_c 4.213
_cell_angle_alpha 90.00
_cell_angle_beta 90.00
_cell_angle_gamma 90.00
_space_group_name_H-M_alt 'P m -3 m'
_space_group_IT_number 221
_space_group_name_Hall '-P 4 2 3'
loop_
_atom_site_label
_atom_site_type_symbol
_atom_site_fract_x
_atom_site_fract_y
_atom_site_fract_z
La1 La 0.000 0.000 0.000
Sn1 Sn 0.500 0.500 0.500
O1 O 0.000 0.500 0.500
# - Magnetization: 0.001 μB per formula unit
# - Crystal system: cubic

=====

Number 1: ΔH_f (0 K) -3.770 eV/atom, total energy -8.35 eV per atom. Number 2: ΔH_f (0 K) -3.778 eV/atom, total energy -8.35 eV per atom. Number 3: ΔH_f (0 K) -3.488 eV/atom, total energy -8.09 eV per atom. Number 4: ΔH_f (0 K) -3.678 eV/atom, total energy -8.64 eV per atom. Number 5: ΔH_f (0 K) -3.542 eV/atom, total energy -8.53 eV per atom. Number 6: ΔH_f (0 K) -3.801 eV/atom, total energy -8.29 eV per atom. Number 7: ΔH_f (0 K) -3.826 eV/atom, total energy -8.29 eV per atom. Number 8: ΔH_f (0 K) -2.448 eV/atom, total energy -6.79 eV per atom.